Arrangement w

Li9Mn2Co5O16: optimized geometry, r²SCAN.

Lattice parameters (Å, degrees): 7.4437 7.4437 4.9482 77.55 77.55 98.33
Last column: nearest neighbours and their distance in Å.
Atoms (fractional coordinates):
Li 0.3824 0.6176 0.5000  6 O 2.04-2.14
O 0.8757 0.3782 0.2212  1 Mn 1.90, 2 Co 1.92-1.97, 2 Li 2.07-2.12
O 0.6378 0.6382 0.2282  2 Co 1.88-1.89, 4 Li 1.97-2.04
Mn 0.7439 0.2561 0.0000  6 O 1.84-1.97
O 0.2421 0.9957 0.7780  1 Mn 1.89, 2 Co 1.94-1.96, 2 Li 2.07-2.09
Li 0.0049 0.5019 0.4975  6 O 1.96-2.12
O 0.3618 0.3622 0.7718  2 Co 1.88-1.89, 4 Li 1.97-2.04
Li 0.6132 0.3868 0.5000  6 O 2.01-2.15
O 0.0043 0.7579 0.2220  1 Mn 1.89, 2 Co 1.94-1.96, 2 Li 2.07-2.09
O 0.7608 0.0077 0.2233  2 Mn 1.91-1.97, 1 Co 1.98, 2 Li 2.04-2.11
Co 0.2529 0.7471 0.0000  6 O 1.89-1.96
Li 0.8736 0.1264 0.5000  6 O 2.04-2.10
O 0.7591 0.4915 0.7718  1 Mn 1.84, 1 Co 1.91, 2 Li 2.01-2.05
O 0.1208 0.6186 0.7833  3 Co 1.90-1.94, 2 Li 2.04-2.08
O 0.1294 0.1270 0.2202  1 Mn 1.91, 2 Co 1.93-1.94, 3 Li 2.10-2.13
O 0.8730 0.8706 0.7798  1 Mn 1.91, 2 Co 1.93-1.94, 3 Li 2.10-2.13
O 0.5085 0.2409 0.2282  1 Mn 1.84, 1 Co 1.91, 2 Li 2.01-2.05
Li 0.7336 0.7385 0.5183  6 O 1.97-2.19
Li 0.2615 0.2664 0.4817  6 O 1.97-2.19
Co 0.6238 0.8717 0.0024  6 O 1.88-1.98
Co 0.8728 0.6237 0.0028  6 O 1.89-1.94
Li 0.1330 0.8670 0.5000  6 O 2.04-2.13
O 0.6218 0.1243 0.7788  1 Mn 1.90, 2 Co 1.92-1.97, 2 Li 2.07-2.12
O 0.4954 0.7596 0.7736  2 Co 1.88-1.89, 3 Li 1.96-1.99
O 0.2404 0.5046 0.2264  2 Co 1.88-1.89, 3 Li 1.96-1.99
Li 0.4952 0.5048 0.0000  6 O 1.98-2.07
Li 0.4981 0.9951 0.5025  6 O 1.96-2.12
Co 0.3763 0.1272 0.9972  6 O 1.89-1.94
O 0.9923 0.2392 0.7767  2 Mn 1.91-1.97, 1 Co 1.98, 2 Li 2.04-2.11
Mn 0.0019 0.9981 0.0000  6 O 1.89-1.91
O 0.3814 0.8792 0.2167  3 Co 1.90-1.94, 2 Li 2.04-2.08
Co 0.1283 0.3762 0.9976  6 O 1.88-1.98



Arrangement x

Li9Mn2Co5O16: optimized geometry, r²SCAN.

Lattice parameters (Å, degrees): 5.6291 4.8689 9.4633 80.18 90.00 90.00
Last column: nearest neighbours and their distance in Å.
Atoms (fractional coordinates):
O 0.5003 0.1305 0.1099  3 Co 1.92, 3 Li 2.03-2.06
O 0.9986 0.6340 0.6116  2 Mn 1.91-1.98, 1 Co 1.95, 3 Li 2.10-2.12
O 0.2505 0.6302 0.1093  3 Co 1.92, 3 Li 2.07-2.10
O 0.0003 0.1307 0.1091  3 Co 1.91-1.92, 3 Li 2.07-2.11
Li 0.4960 0.7598 0.2522  6 O 2.00-2.14
Li 0.4960 0.2402 0.7478  6 O 2.00-2.14
Li 0.7444 0.2476 0.2461  6 O 2.03-2.12
Li 0.4986 0.0000 0.5000  6 O 2.00-2.04
Li 0.0038 0.2464 0.7525  6 O 2.00-2.12
Li 0.2569 0.7496 0.7510  6 O 2.05-2.11
Co 0.2501 0.0000 0.0000  6 O 1.92
Li 0.7444 0.7524 0.7539  6 O 2.03-2.12
Mn 0.7391 0.5000 0.5000  6 O 1.85-1.98
Co 0.5005 0.5000 0.0000  6 O 1.92
O 0.5003 0.8695 0.8901  3 Co 1.92, 3 Li 2.03-2.06
Li 0.2569 0.2504 0.2490  6 O 2.05-2.11
O 0.7639 0.1386 0.6128  2 Mn 1.90-1.92, 4 Li 2.02-2.12
Mn 0.0056 0.0000 0.5000  6 O 1.87-1.92
O 0.2369 0.8671 0.3862  1 Mn 1.87, 1 Co 1.92, 4 Li 2.00-2.09
O 0.2369 0.1329 0.6138  1 Mn 1.87, 1 Co 1.92, 4 Li 2.00-2.09
O 0.5025 0.6060 0.6148  1 Mn 1.85, 1 Co 1.91, 2 Li 2.00-2.04
O 0.7505 0.3698 0.8910  3 Co 1.92, 3 Li 2.08-2.14
Co 0.7506 0.0000 0.0000  6 O 1.92
Co 0.2517 0.5000 0.5000  6 O 1.91-1.95
O 0.9986 0.3660 0.3884  2 Mn 1.91-1.98, 1 Co 1.95, 3 Li 2.10-2.12
O 0.7639 0.8614 0.3872  2 Mn 1.90-1.92, 4 Li 2.02-2.12
O 0.0003 0.8693 0.8909  3 Co 1.91-1.92, 3 Li 2.07-2.11
Li 0.0038 0.7536 0.2475  6 O 2.00-2.12
O 0.7505 0.6302 0.1090  3 Co 1.92, 3 Li 2.08-2.14
O 0.5025 0.3940 0.3852  1 Mn 1.85, 1 Co 1.91, 2 Li 2.00-2.04
O 0.2505 0.3698 0.8907  3 Co 1.92, 3 Li 2.07-2.10
Co 0.0004 0.5000 0.0000  6 O 1.91-1.92



Going by the energies, arrangement x is most stable and the next is 20 meV/atom up.